1:
LiV3OF11: relaxed, GGA+U.

Density = 2.8 g/cm³
Total magnetic moment = 3.0 μB/f.u.

a = 5.304 Å, b = 5.474 Å, c = 15.657 Å
α = 80.64°, β = 89.92°, γ = 89.84°
Sites, in units of the cell vectors:
1 Li 0.000 0.000 0.000
2 Li 0.111 0.398 0.341
3 V 0.251 0.330 0.842
4 V 0.276 0.027 0.518
5 V 0.283 0.698 0.176
6 V 0.770 0.858 0.836
7 V 0.774 0.195 0.179
8 V 0.776 0.534 0.506
9 O 0.062 0.076 0.863
10 O 0.865 0.554 0.404
11 F 0.071 0.379 0.207
12 F 0.075 0.733 0.536
13 F 0.189 0.749 0.057
14 F 0.191 0.078 0.402
15 F 0.207 0.427 0.730
16 F 0.348 0.642 0.295
17 F 0.355 0.328 0.951
18 F 0.364 0.993 0.627
19 F 0.470 0.330 0.490
20 F 0.483 0.019 0.153
21 F 0.487 0.664 0.823
22 F 0.557 0.159 0.819
23 F 0.565 0.839 0.489
24 F 0.587 0.503 0.153
25 F 0.694 0.161 0.290
26 F 0.700 0.484 0.623
27 F 0.715 0.839 0.952
28 F 0.868 0.911 0.728
29 F 0.874 0.236 0.066
30 F 0.971 0.893 0.197
31 F 0.983 0.562 0.863
32 F 0.985 0.219 0.538


2:
LiV3OF11: relaxed, GGA+U.

Density = 2.9 g/cm³
Total magnetic moment = 3.0 μB/f.u.

a = 5.240 Å, b = 5.444 Å, c = 15.428 Å
α = 80.01°, β = 89.92°, γ = 89.19°
Sites, in units of the cell vectors:
1 Li 0.032 0.201 0.266
2 Li 0.968 0.799 0.734
3 V 0.000 0.000 0.500
4 V 0.014 0.307 0.838
5 V 0.481 0.839 0.837
6 V 0.500 0.500 0.500
7 V 0.519 0.161 0.163
8 V 0.986 0.693 0.162
9 O 0.188 0.035 0.808
10 O 0.812 0.965 0.192
11 F 0.078 0.570 0.278
12 F 0.086 0.275 0.950
13 F 0.090 0.925 0.615
14 F 0.193 0.379 0.146
15 F 0.196 0.715 0.476
16 F 0.298 0.554 0.809
17 F 0.300 0.210 0.476
18 F 0.306 0.879 0.141
19 F 0.389 0.094 0.276
20 F 0.415 0.433 0.613
21 F 0.427 0.749 0.951
22 F 0.573 0.251 0.049
23 F 0.585 0.567 0.387
24 F 0.611 0.906 0.724
25 F 0.694 0.121 0.859
26 F 0.700 0.790 0.524
27 F 0.702 0.446 0.191
28 F 0.804 0.285 0.524
29 F 0.807 0.621 0.854
30 F 0.910 0.075 0.385
31 F 0.914 0.725 0.050
32 F 0.922 0.430 0.722


Which of them is least stable? Easy: 1.


1:
MgVSbO4: relaxed, GGA+U.

Density = 4.4 g/cm³
Total magnetic moment = 2.0 μB/f.u.

a = 3.154 Å, b = 5.656 Å, c = 5.656 Å
α = 76.46°, β = 90.00°, γ = 90.00°
Sites, in units of the cell vectors:
1 Mg 0.000 0.000 0.000
2 V 0.500 0.732 0.732
3 Sb 0.000 0.338 0.338
4 O 0.000 0.638 0.984
5 O 0.000 0.984 0.638
6 O 0.500 0.126 0.126
7 O 0.500 0.517 0.517


2:
MgVSbO4: relaxed, GGA+U.

Density = 4.8 g/cm³
Total magnetic moment = 0.5 μB/f.u.

a = 5.179 Å, b = 3.126 Å, c = 5.580 Å
α = 90.00°, β = 93.74°, γ = 90.00°
Sites, in units of the cell vectors:
1 Mg 0.000 0.000 0.000
2 V 0.500 0.531 0.000
3 Sb 0.000 0.190 0.500
4 O 0.169 0.516 0.217
5 O 0.319 0.045 0.812
6 O 0.681 0.045 0.188
7 O 0.831 0.516 0.783


Which of them is least stable? Easy: 2.


1:
Na3Li3Fe2P2C2O14: relaxed, GGA+U.

Density = 2.8 g/cm³
Total magnetic moment = 0.0 μB/f.u.

a = 5.179 Å, b = 10.706 Å, c = 11.252 Å
α = 74.10°, β = 88.19°, γ = 87.39°
Sites, in units of the cell vectors:
1 Na 0.000 0.000 0.000
2 Na 0.000 0.500 0.500
3 Na 0.491 0.246 0.239
4 Na 0.492 0.746 0.739
5 Na 0.500 0.053 0.772
6 Na 0.500 0.553 0.272
7 Li 0.505 0.000 0.458
8 Li 0.508 0.500 0.957
9 Li 0.972 0.750 0.283
10 Li 0.973 0.250 0.783
11 Li 0.987 0.179 0.474
12 Li 0.988 0.679 0.974
13 Fe 0.527 0.918 0.170
14 Fe 0.529 0.418 0.670
15 Fe 0.960 0.834 0.564
16 Fe 0.961 0.334 0.064
17 P 0.032 0.041 0.287
18 P 0.034 0.541 0.786
19 P 0.458 0.213 0.949
20 P 0.458 0.712 0.449
21 C 0.023 0.482 0.213
22 C 0.023 0.982 0.713
23 C 0.455 0.261 0.520
24 C 0.456 0.761 0.021
25 O 0.039 0.557 0.286
26 O 0.040 0.057 0.785
27 O 0.156 0.728 0.447
28 O 0.157 0.228 0.947
29 O 0.230 0.438 0.166
30 O 0.230 0.939 0.665
31 O 0.279 0.316 0.578
32 O 0.281 0.815 0.079
33 O 0.333 0.021 0.289
34 O 0.335 0.521 0.789
35 O 0.380 0.188 0.454
36 O 0.381 0.688 0.954
37 O 0.537 0.067 0.006
38 O 0.537 0.566 0.506
39 O 0.566 0.301 0.022
40 O 0.566 0.800 0.522
41 O 0.570 0.748 0.314
42 O 0.571 0.248 0.814
43 O 0.697 0.280 0.532
44 O 0.699 0.780 0.032
45 O 0.799 0.451 0.183
46 O 0.799 0.950 0.683
47 O 0.919 0.950 0.217
48 O 0.920 0.450 0.717
49 O 0.922 0.012 0.423
50 O 0.924 0.512 0.923
51 O 0.957 0.185 0.226
52 O 0.959 0.685 0.726


2:
Na3Li3Fe2P2C2O14: relaxed, GGA+U.

Density = 2.9 g/cm³
Total magnetic moment = 8.0 μB/f.u.

a = 6.642 Å, b = 8.774 Å, c = 10.198 Å
α = 91.87°, β = 90.00°, γ = 90.52°
Sites, in units of the cell vectors:
1 Na 0.000 0.000 0.000
2 Na 0.000 0.002 0.498
3 Na 0.254 0.825 0.741
4 Na 0.255 0.339 0.495
5 Na 0.255 0.344 0.995
6 Na 0.752 0.825 0.740
7 Li 0.229 0.810 0.239
8 Li 0.518 0.178 0.746
9 Li 0.519 0.175 0.244
10 Li 0.734 0.356 0.502
11 Li 0.736 0.359 0.002
12 Li 0.775 0.811 0.238
13 Fe 0.502 0.727 0.500
14 Fe 0.503 0.736 0.017
15 Fe 0.997 0.433 0.231
16 Fe 0.997 0.436 0.726
17 P 0.505 0.493 0.764
18 P 0.507 0.493 0.268
19 P 0.997 0.667 0.978
20 P 0.997 0.671 0.466
21 C 0.000 0.132 0.254
22 C 0.511 0.038 0.481
23 C 0.513 0.040 0.983
24 C 0.999 0.144 0.757
25 O 0.002 0.653 0.826
26 O 0.002 0.657 0.312
27 O 0.003 0.205 0.642
28 O 0.003 0.984 0.258
29 O 0.004 0.200 0.142
30 O 0.005 0.998 0.766
31 O 0.188 0.760 0.514
32 O 0.189 0.756 0.029
33 O 0.312 0.395 0.734
34 O 0.312 0.401 0.234
35 O 0.499 0.930 0.390
36 O 0.500 0.649 0.698
37 O 0.502 0.934 0.889
38 O 0.505 0.004 0.604
39 O 0.505 0.659 0.216
40 O 0.507 0.999 0.104
41 O 0.527 0.518 0.916
42 O 0.529 0.179 0.445
43 O 0.529 0.182 0.952
44 O 0.530 0.507 0.421
45 O 0.680 0.394 0.209
46 O 0.681 0.392 0.711
47 O 0.816 0.768 0.025
48 O 0.816 0.771 0.509
49 O 0.983 0.505 0.033
50 O 0.986 0.509 0.523
51 O 0.988 0.233 0.861
52 O 0.991 0.218 0.360


Which of them is least stable? Easy: 2.